DFT (PBE) results for Ti2FeCu after structural relaxation.

Summary:
For the total magnetization, the calculation gives 0.030 μB/f.u. The value obtained for the total energy is -7.30 eV per atom. Its calculated formation energy is -0.21 eV/atom. As for the symmetry: P4/mmm, No. 123.

Cell lengths 2.956, 2.956, 6.278 Å; angles 90.00, 90.00, 90.00 degrees
Element x y z (fractional)
Ti 0.500 0.500 0.736
Ti 0.500 0.500 0.264
Fe 0.000 0.000 0.500
Cu 0.000 0.000 0.000